#1
The following is a DFT calculation (PBE) of a relaxed structure of Sr3Sn3Au8.

Cell and atoms, written as extended XYZ:
```
14
Lattice="4.1850 -6.1884 -4.9839 7.4938 -4.5454 -1.9574 1.6259 -9.2039 3.2189" Properties=species:S:1:pos:R:3 pbc="T T T"
Au 9.2773 -16.0079 -1.4526
Sn 0.8129 -4.6019 1.6095
Sr 8.5986 -10.0164 -3.9633
Sn 4.3604 -6.4573 -1.2618
Sn 8.9443 -13.4803 -2.4607
Au 7.0142 -11.8218 -1.2510
Sr 4.7060 -9.9212 0.2408
Au 11.5801 -17.2162 -3.3144
Au 4.0274 -3.9297 -2.2698
Au 1.7245 -2.7215 -0.4080
Au 6.2905 -8.1159 -2.4715
Au 2.5387 -6.7860 0.9083
Sr 0.0000 0.0000 0.0000
Au 10.7660 -13.1517 -4.6307
```

Results
For the magnetization, the calculation gives 0.00 μB per atom. As for the density: 10.74 g/cm³. As for the space group: C2/m.

***

#2
The following is a DFT calculation (PBE) of a relaxed structure of Sr3Sn3Au8.

Cell and atoms, written as extended XYZ:
```
28
Lattice="4.8056 0.0000 0.0000 0.0000 9.8033 0.0000 0.0000 0.0000 14.2698" Properties=species:S:1:pos:R:3 pbc="T T T"
Sr 2.4028 4.9017 0.0000
Au 0.0000 2.7865 9.0568
Au 0.0000 2.7318 5.3257
Au 0.0000 3.6876 2.2649
Au 2.4028 2.1152 1.9219
Au 0.0000 7.8658 14.2456
Sn 2.4028 0.0000 0.0000
Sr 0.0000 0.0000 7.1349
Au 2.4028 7.6881 12.3479
Sn 0.0000 3.3855 11.8021
Au 0.0000 6.1157 12.0049
Au 0.0000 1.9376 0.0242
Sr 0.0000 9.7508 11.4736
Sn 2.4028 8.2871 9.6026
Au 2.4028 7.6334 1.8092
Au 0.0000 7.0715 8.9441
Au 2.4028 1.2141 9.3999
Sn 0.0000 6.4178 2.4677
Au 2.4028 8.5893 4.8700
Au 0.0000 7.0168 5.2130
Au 2.4028 2.1699 12.4607
Sn 2.4028 1.5162 4.6672
Sr 0.0000 0.0525 2.7962
Sr 2.4028 4.9541 4.3387
Au 2.4028 2.9641 7.1591
Au 2.4028 6.8392 7.1107
Sn 0.0000 4.9017 7.1349
Sr 2.4028 4.8492 9.9312
```

Results
For the magnetization, the calculation gives 0.00 μB per atom. As for the density: 10.84 g/cm³. As for the space group: Pnnm.

***

The winner here is #2, beating the second structure by 0.007 eV/atom.

***

#1
The following is a DFT calculation (PBE) of a relaxed structure of BeH2O2.

Cell and atoms, written as extended XYZ:
```
60
Lattice="-6.8932 1.3992 3.9121 1.8818 -2.4938 4.2077 6.1541 9.7531 3.0281" Properties=species:S:1:pos:R:3 pbc="T T T"
O -0.4124 2.1151 1.8904
O 0.6262 6.2232 5.3417
Be 6.0425 9.0537 4.6591
O 1.9074 7.7332 8.7720
O 0.6905 2.2048 6.1950
H 2.6089 1.8599 3.3605
O -3.1843 -0.1596 7.3107
H 4.3261 5.0554 4.1053
H 1.7766 8.5607 4.4809
O -1.9737 1.5142 5.5827
Be -0.9994 3.3040 2.8795
Be 4.1475 5.3386 6.6981
H 1.9410 5.6196 2.7526
O 4.9531 7.9885 5.2369
H -1.6631 0.7842 2.5193
H -0.4597 -0.8886 5.0334
Be 3.4760 7.4844 5.2750
H 1.8300 1.9353 1.6179
H -0.0680 4.3084 4.5872
O 2.4864 7.9794 4.1561
Be -2.7202 2.9428 5.0859
O 1.1536 4.8376 7.5806
H -1.4585 1.1906 4.8233
H 1.4249 4.0663 7.0396
Be 1.4748 6.2389 6.7760
H 2.4597 9.6456 6.5598
H 1.8671 9.1963 6.7063
H 2.6207 8.1196 8.2146
H -2.3140 7.9222 5.8916
O 3.8270 4.3041 3.7463
H -4.9862 1.2451 6.0373
Be 1.1318 2.6004 4.7639
Be -1.8939 0.5919 6.8552
O 0.8751 7.4446 7.7369
H 6.9579 6.3149 6.9639
O 0.1817 3.5658 3.9978
Be -2.7048 5.7159 6.0290
Be -0.6617 6.9495 4.8800
H 5.4221 7.3150 5.7934
O -1.9738 4.2623 5.8004
O -0.6803 0.8135 2.5646
O 3.0463 6.4575 6.3137
O -4.2704 2.7692 5.6434
H -4.8632 2.1172 4.0491
H -2.3692 2.5242 8.8631
H -1.1375 -1.2250 4.9894
O 2.5101 2.1381 4.3176
O -2.5070 3.0007 3.4849
O -1.9490 3.3800 9.0455
H -1.5719 4.0642 6.6654
O 5.6787 5.5375 6.0981
O 3.5546 3.8157 6.3269
O -1.7839 7.0724 5.8988
Be 3.7322 3.0955 4.8608
H -0.8847 6.9849 9.0884
H -0.2730 2.3625 6.2476
O 5.8267 9.3721 3.0974
Be -4.6900 -0.6732 6.9578
H 1.3176 6.4260 4.6809
O -5.5391 0.4197 6.1383
```

Results
For the magnetization, the calculation gives 0.00 μB per atom. As for the density: 1.73 g/cm³. As for the space group: P2_1.

***

#2
The following is a DFT calculation (PBE) of a relaxed structure of BeH2O2.

Cell and atoms, written as extended XYZ:
```
20
Lattice="-2.8752 3.8679 -0.4027 -0.9202 -1.1641 -4.6115 -4.5260 -3.1867 1.7075" Properties=species:S:1:pos:R:3 pbc="T T T"
Be -1.0850 -0.4900 -1.3303
H -3.6313 -0.0671 -3.9060
H -4.5418 1.4315 -0.7055
O -1.3607 -1.0991 -2.8432
Be -4.6690 -1.1313 -2.2013
O -6.1813 -1.6332 -2.5956
O -6.8610 0.4134 0.0745
O -4.5566 -0.6372 -0.6267
H -3.6483 -0.8900 -0.3415
Be -5.7715 -0.7626 0.4701
O -4.1650 0.1457 -3.1045
O -4.5441 2.4039 -0.5478
H -6.9440 -1.1962 -2.1511
H -3.7272 -2.9121 -1.5071
O -3.6937 -2.4520 -2.3787
H -6.5568 1.2160 0.5599
O -1.9231 0.9272 -1.2046
H -2.7275 0.7974 -1.7601
Be -5.1174 1.4183 -3.5518
H -1.5087 -0.3110 -3.4152
```

Results
As for the piezoelectric modulus e_max: 0.0 C/m². For the magnetization, the calculation gives 0.00 μB per atom. As for the density: 2.11 g/cm³. As for the space group: P2_12_12_1.

***

The winner here is #2, beating the second structure by 0.201 eV/atom.

***

#1
The following is a DFT calculation (PBE) of a relaxed structure of RbMg6TiO8.

Cell and atoms, written as extended XYZ:
```
16
Lattice="-6.8593 4.6902 3.0312 -1.1935 -3.4603 2.6533 2.5928 1.6486 3.3163" Properties=species:S:1:pos:R:3 pbc="T T T"
O -2.1332 3.1694 3.1738
Rb 0.6996 -0.9059 2.9848
Ti 0.0000 0.0000 0.0000
O -5.1845 3.5450 2.2912
O -4.0264 0.6149 2.8423
O -0.5968 -1.7302 1.3266
Mg -3.4296 2.3451 1.5156
Mg -3.7726 4.2903 3.8983
O -4.2256 2.4619 5.1614
Mg -2.3870 -0.5060 2.1178
O -1.6747 1.1451 0.7401
Mg -5.6658 1.7359 3.5667
Mg -0.4939 2.0484 2.4493
O -1.2344 0.4166 3.8395
O 1.2964 0.8243 1.6582
Mg -2.7300 1.4392 4.5004
```

Results
For the magnetization, the calculation gives 0.06 μB per atom. As for the density: 3.74 g/cm³. As for the space group: P4/mmm.

***

#2
The following is a DFT calculation (PBE) of a relaxed structure of RbMg6TiO8.

Cell and atoms, written as extended XYZ:
```
16
Lattice="-4.6854 3.8533 -6.1778 -3.6956 -0.0759 2.7555 1.1722 4.1280 1.6858" Properties=species:S:1:pos:R:3 pbc="T T T"
Rb -2.3427 1.9267 -3.0889
Ti 0.0000 0.0000 0.0000
O -2.4162 2.9755 0.6984
O -4.1905 1.8887 -1.7111
Mg -3.6044 3.9527 -0.8682
Mg -0.6076 3.0457 -0.7309
O -4.7927 4.9299 -2.4349
Mg -2.9057 4.9357 -3.7610
O -1.0108 0.8313 -1.3327
Mg -1.2617 2.0260 2.2207
O 0.5861 2.0640 0.8429
O -3.6747 3.0221 -4.8451
Mg -5.3396 2.8337 -3.2262
Mg -3.0414 0.9437 -0.1961
O -1.7566 3.9907 -2.2460
O -1.8478 -0.0380 1.3778
```

Results
For the magnetization, the calculation gives 0.06 μB per atom. As for the density: 3.67 g/cm³. As for the space group: P4/mmm.

***

The winner here is #2, beating the second structure by 0.016 eV/atom.

***

#1
The following is a DFT calculation (PBE) of a relaxed structure of NdGa3Ni.

Cell and atoms, written as extended XYZ:
```
5
Lattice="4.5975 2.8739 2.7669 0.1335 0.8816 6.0214 -0.9715 -4.4391 -4.0500" Properties=species:S:1:pos:R:3 pbc="T T T"
Ga 2.9958 0.1563 1.5555
Ni 0.7638 -0.8399 3.1827
Ga 1.8014 1.4300 3.3463
Ga 2.9296 2.3256 5.4420
Nd 0.0000 0.0000 0.0000
```

Results
For the magnetization, the calculation gives 0.00 μB per atom. As for the density: 7.44 g/cm³. As for the space group: I-4m2.

***

#2
The following is a DFT calculation (PBE) of a relaxed structure of NdGa3Ni.

Cell and atoms, written as extended XYZ:
```
5
Lattice="2.2390 -3.4904 -0.9361 2.7488 2.3565 -2.2278 5.3034 0.1127 2.6036" Properties=species:S:1:pos:R:3 pbc="T T T"
Ga 5.2377 0.9426 -0.6557
Nd 5.2794 0.1069 2.5678
Ni 3.2698 -0.3793 -0.4260
Ga 7.2903 -0.5769 0.2663
Ga 4.9828 -1.9809 -0.0099
```

Results
As for the density: 7.44 g/cm³. As for the space group: I4mm.

***

The winner here is #2, beating the second structure by 0.073 eV/atom.

***

#1
The following is a DFT calculation (PBE) of a relaxed structure of Ti2ZnO4.

Cell and atoms, written as extended XYZ:
```
42
Lattice="3.0085 -5.2109 0.0000 3.0085 5.2109 0.0000 0.0000 0.0000 14.9247" Properties=species:S:1:pos:R:3 pbc="T T T"
Zn 0.0000 0.0000 4.3676
O 1.6280 -0.9399 3.7487
O 3.0085 -3.5361 11.1665
O 3.0085 3.6093 8.6516
Zn 3.0085 1.7370 5.5149
O 4.5666 -0.8374 11.1665
Zn 3.0085 -1.7370 10.4672
Ti 4.5067 -0.8720 7.4550
O 0.0000 0.0000 6.3666
Ti 1.3750 0.7939 12.3677
O 3.0085 -0.0978 6.2731
Ti 3.0085 3.6232 12.3677
Zn 3.0085 1.7370 0.0230
O 0.0000 0.0000 13.6681
Ti 3.0085 -1.7370 14.1756
O 1.6067 0.9276 1.4086
O 1.5522 2.5777 13.5961
O 1.4504 -0.8374 11.1665
Ti 1.5103 -0.8720 7.4550
O 3.0085 -3.3310 3.7487
Ti 4.6420 0.7939 12.3677
O 3.0085 -1.7370 1.1708
O 3.0085 1.7370 3.5596
Zn 3.0085 1.7370 9.4159
O 4.4281 -2.5566 6.2731
O 4.3890 -0.9399 3.7487
O 3.0085 1.7370 11.3945
Zn 0.0000 0.0000 0.7330
O 1.3870 0.8008 8.6516
O 3.0085 -1.7370 8.5315
O 3.0085 3.3557 1.4086
O 1.5889 -2.5566 6.2731
O 4.4103 0.9276 1.4086
Ti 3.0085 -3.4669 7.4550
Ti 1.5633 -2.5714 2.4970
Ti 4.4537 -2.5714 2.4970
Ti 3.0085 -0.0681 2.4970
Ti 3.0085 -1.7370 5.0723
O 4.6300 0.8008 8.6516
O 3.0085 0.0554 13.5961
O 4.4648 2.5777 13.5961
Ti 0.0000 0.0000 10.0201
```

Results
For the magnetization, the calculation gives 0.09 μB per atom. As for the density: 4.79 g/cm³. As for the space group: P3m1.

***

#2
The following is a DFT calculation (PBE) of a relaxed structure of Ti2ZnO4.

Cell and atoms, written as extended XYZ:
```
28
Lattice="-2.4494 -0.9851 1.2544 4.6819 -7.8441 2.9821 2.4915 4.7566 8.6001" Properties=species:S:1:pos:R:3 pbc="T T T"
O 2.8771 -6.1381 2.5614
O 2.6555 1.1146 7.5788
Ti 0.1647 -0.8754 1.2712
O 2.0683 -5.1871 5.2579
O 3.0332 -7.8494 4.8236
O 1.8859 -3.4474 2.7212
Ti 3.4902 1.2365 9.4230
O 0.6010 -0.3127 5.9752
O -0.6447 -2.6910 1.6751
Ti 2.1314 -3.5950 6.5125
Ti 4.5592 -3.1971 11.5655
O 3.6391 -3.3533 9.7650
O 1.0848 -0.7192 3.0717
O 1.0123 2.4817 5.6713
Zn 4.0121 -5.9093 5.0942
O 2.8380 -0.6252 10.1155
Zn 4.1352 -1.6499 8.6792
Ti 1.0625 0.8385 4.3701
Ti 3.6614 -4.9111 8.4666
Ti 2.5925 -0.4775 6.3241
O 2.1596 -1.9204 7.7737
O 1.6907 3.7769 8.0131
O 2.5643 -2.1522 5.0630
O 4.1228 -3.7598 6.8615
Zn 0.7117 1.8368 7.7425
Zn 0.5887 -2.4226 4.1575
Ti 1.2337 -5.3090 3.4137
O 3.7116 -6.5542 7.1653
```

Results
For the magnetization, the calculation gives 0.00 μB per atom. As for the density: 5.25 g/cm³. As for the space group: Pbcm.

***

The winner here is #1, beating the second structure by 0.066 eV/atom.

***

#1
The following is a DFT calculation (PBE) of a relaxed structure of DyErMn4.

Cell and atoms, written as extended XYZ:
```
12
Lattice="-2.5629 -4.4200 -0.0052 -5.1257 0.0000 0.0000 0.0000 -0.0097 -8.3935" Properties=species:S:1:pos:R:3 pbc="T T T"
Mn 0.0000 -0.0048 -4.1968
Mn -1.2980 -0.7502 -2.0738
Dy -5.1257 -2.9509 -3.6667
Er -5.1257 -2.9468 -0.5318
Mn -2.5628 -2.9272 -2.0732
Dy -2.5629 -1.4788 -4.7320
Mn -6.3906 -3.6795 -6.3249
Er -2.5629 -1.4829 -7.8669
Mn -5.1257 -1.5025 -6.3255
Mn -3.8608 -3.6795 -6.3249
Mn 0.0000 0.0000 0.0000
Mn -3.8277 -0.7502 -2.0738
```

Results
For the magnetization, the calculation gives 0.12 μB per atom. As for the density: 9.60 g/cm³. As for the space group: C2/m.

***

#2
The following is a DFT calculation (PBE) of a relaxed structure of DyErMn4.

Cell and atoms, written as extended XYZ:
```
6
Lattice="0.0000 3.6018 3.6018 3.6018 0.0000 3.6018 3.6018 3.6018 0.0000" Properties=species:S:1:pos:R:3 pbc="T T T"
Mn 2.7008 2.7008 4.5027
Mn 4.5027 4.5027 4.5027
Mn 2.7008 4.5027 2.7008
Mn 4.5027 2.7008 2.7008
Er 0.0000 0.0000 0.0000
Dy 1.8009 1.8009 1.8009
```

Results
For the magnetization, the calculation gives 0.65 μB per atom. As for the density: 9.76 g/cm³. As for the space group: F-43m.

***

The winner here is #1, beating the second structure by 0.018 eV/atom.

***

#1
The following is a DFT calculation (PBE) of a relaxed structure of Dy3Y.

Cell and atoms, written as extended XYZ:
```
4
Lattice="-1.0300 4.9155 -0.3969 -3.6230 -1.0293 -3.3458 -3.3456 -0.3986 3.7454" Properties=species:S:1:pos:R:3 pbc="T T T"
Dy -3.4843 -0.7140 0.1998
Dy -2.3265 1.9431 -1.8713
Dy -2.1878 2.2584 1.6743
Y 0.0000 0.0000 0.0000
```

Results
As for the density: 7.49 g/cm³. As for the space group: Pm-3m.

***

#2
The following is a DFT calculation (PBE) of a relaxed structure of Dy3Y.

Cell and atoms, written as extended XYZ:
```
8
Lattice="3.6233 -6.2758 0.0000 3.6233 6.2758 0.0000 0.0000 0.0000 5.6842" Properties=species:S:1:pos:R:3 pbc="T T T"
Dy 1.8066 -1.0430 4.2632
Dy 5.4401 1.0430 1.4211
Y 3.6233 2.0919 4.2632
Dy 1.8066 1.0430 1.4211
Y 3.6233 -2.0919 1.4211
Dy 5.4401 -1.0430 4.2632
Dy 3.6233 -4.1897 4.2632
Dy 3.6233 4.1897 1.4211
```

Results
As for the density: 7.41 g/cm³. As for the space group: P6_3/mmc.

***

The winner here is #2, beating the second structure by 0.012 eV/atom.